(1)
A plane-wave DFT calculation with PBE was carried out for a relaxed LuF3 crystal.

Calculated values
As for the crystal system: trigonal. The value obtained for the calculated formation energy is -4.401 eV/atom. As for the symmetry: No. 165. The value obtained for the corrected total energy (MP2020 scheme) is -6.97 eV per atom.

Cell lengths 6.688, 6.688, 6.823 Å; angles 90.00, 90.00, 120.00 degrees
Element x y z (fractional)
F1 0.625 0.927 0.924
F2 0.927 0.302 0.076
F3 0.333 0.667 0.189
F4 0.000 0.000 0.750
F5 0.333 0.667 0.689
F6 0.375 0.302 0.576
F7 0.927 0.625 0.576
F8 0.073 0.375 0.424
F9 0.667 0.333 0.811
F10 0.698 0.073 0.576
F11 0.625 0.698 0.424
F12 0.073 0.698 0.924
F13 0.302 0.927 0.424
F14 0.667 0.333 0.311
F15 0.698 0.625 0.076
F16 0.000 0.000 0.250
F17 0.302 0.375 0.924
F18 0.375 0.073 0.076
Lu1 0.347 0.347 0.250
Lu2 0.000 0.653 0.250
Lu3 0.347 0.000 0.750
Lu4 0.653 0.653 0.750
Lu5 0.653 0.000 0.250
Lu6 0.000 0.347 0.750

=====

(2)
A plane-wave DFT calculation with PBE was carried out for a relaxed NaLaSe2O6 crystal.

Calculated values
As for the crystal system: cubic. The value obtained for the calculated formation energy is -1.763 eV/atom. As for the symmetry: No. 225. Its relative energy among the computed polymorphs is 40.6 kJ/mol of atoms. The value obtained for the corrected total energy (MP2020 scheme) is -6.06 eV per atom.

Cell lengths 5.658, 5.658, 5.658 Å; angles 60.00, 60.00, 60.00 degrees
Element x y z (fractional)
O1 0.500 0.500 0.000
O2 0.000 0.000 0.500
O3 0.500 0.000 0.500
O4 0.500 0.000 0.000
O5 0.000 0.500 0.000
O6 0.000 0.500 0.500
Se1 0.250 0.250 0.250
Se2 0.750 0.750 0.750
La1 0.000 0.000 0.000
Na1 0.500 0.500 0.500

=====

(3)
A plane-wave DFT calculation with PBE was carried out for a relaxed ScRe2 crystal.

Calculated values
As for the crystal system: hexagonal. The value obtained for the calculated formation energy is -0.348 eV/atom. As for the symmetry: No. 194.

Cell lengths 5.302, 5.302, 8.608 Å; angles 90.00, 90.00, 120.00 degrees
Element x y z (fractional)
Re1 0.000 0.000 0.500
Re2 0.000 0.000 0.000
Re3 0.172 0.344 0.750
Re4 0.656 0.828 0.750
Re5 0.828 0.656 0.250
Re6 0.172 0.828 0.750
Re7 0.344 0.172 0.250
Re8 0.828 0.172 0.250
Sc1 0.333 0.667 0.437
Sc2 0.333 0.667 0.063
Sc3 0.667 0.333 0.937
Sc4 0.667 0.333 0.563

=====

(4)
A plane-wave DFT calculation with PBE was carried out for a relaxed AlIn2N3 crystal.

Calculated values
As for the crystal system: orthorhombic. The value obtained for the calculated formation energy is -0.565 eV/atom. As for the symmetry: No. 36. The value obtained for the corrected total energy (MP2020 scheme) is -6.27 eV per atom.

Cell lengths 5.940, 5.926, 5.500 Å; angles 90.00, 90.00, 119.92 degrees
Element x y z (fractional)
N1 0.698 0.031 0.886
N2 0.000 0.631 0.837
N3 0.698 0.667 0.386
N4 0.000 0.369 0.337
N5 0.302 0.333 0.886
N6 0.302 0.969 0.386
In1 0.676 0.012 0.487
In2 0.324 0.988 0.987
In3 0.676 0.665 0.987
In4 0.324 0.335 0.487
Al1 0.000 0.341 0.989
Al2 0.000 0.659 0.489

=====

(5)
A plane-wave DFT calculation with PBE was carried out for a relaxed CaEuHfZrO6 crystal.

Calculated values
As for the crystal system: cubic. The value obtained for the calculated formation energy is -3.605 eV/atom. As for the symmetry: No. 216. The value obtained for the corrected total energy (MP2020 scheme) is -9.65 eV per atom.

Cell lengths 5.867, 5.867, 5.867 Å; angles 60.00, 60.00, 60.00 degrees
Element x y z (fractional)
Ca1 0.750 0.750 0.750
O1 0.752 0.752 0.248
O2 0.248 0.752 0.752
O3 0.752 0.248 0.248
O4 0.248 0.248 0.752
O5 0.248 0.752 0.248
O6 0.752 0.248 0.752
Zr1 0.500 0.500 0.500
Eu1 0.250 0.250 0.250
Hf1 0.000 0.000 0.000

=====

(6)
A plane-wave DFT calculation with PBE was carried out for a relaxed EuMgBiSbO6 crystal.

Calculated values
As for the crystal system: cubic. The value obtained for the calculated formation energy is -2.319 eV/atom. As for the symmetry: No. 216. The value obtained for the corrected total energy (MP2020 scheme) is -7.28 eV per atom.

Cell lengths 5.681, 5.681, 5.681 Å; angles 60.00, 60.00, 60.00 degrees
Element x y z (fractional)
Bi1 0.250 0.250 0.250
O1 0.747 0.253 0.747
O2 0.253 0.747 0.747
O3 0.747 0.747 0.253
O4 0.253 0.747 0.253
O5 0.747 0.253 0.253
O6 0.253 0.253 0.747
Eu1 0.750 0.750 0.750
Sb1 0.500 0.500 0.500
Mg1 0.000 0.000 0.000